VASP calculation (PBE) on an optimized crystal structure of Er2C3.

Structure (POSCAR):
```
Er2C3
1.0
2.1085 -3.3435 -5.8401
-0.2130 -4.5621 5.3735
-6.4260 2.7142 -1.0354
Er C
8 12
Cartesian
-2.8064 -0.0411 -3.5421
0.1060 -2.6180 2.0981
-1.8086 -2.0725 -0.5996
-3.2345 0.8973 0.0239
-4.0738 -4.6682 -1.3507
-3.3409 -1.3838 2.7106
1.1603 -4.2898 -0.8219
0.4066 -1.3982 -3.0244
1.3442 -3.6750 -3.3296
0.6327 -3.7787 -4.4627
-1.9677 -2.3698 -3.3696
-1.3731 -4.3826 3.6745
-5.6692 0.8165 -1.3369
-4.3181 -1.4181 0.4303
-1.6074 -4.5453 -0.5748
-1.6855 -3.0798 3.7514
-0.8959 -4.4416 0.5583
-3.0617 -2.6743 -2.6547
-4.5752 1.1210 -2.0518
-4.0057 -2.7209 0.3534
```

Energy: -0.5611 Ry/atom
Space group: I-43d (220)
Magnetization: 0.001 μB/atom

=====

VASP calculation (PBE) on an optimized crystal structure of ErH10C6S6N3O17F18.

Structure (POSCAR):
```
ErH10C6S6N3O17F18
1.0
-13.2211 0.0000 1.0209
-0.0276 0.0000 -13.2609
0.0000 -18.8191 0.0000
Er H C S N O F
4 40 24 24 12 68 72
Cartesian
-2.0089 -4.7818 -2.6826
-8.6332 -4.6278 -8.8026
-11.2398 -14.0373 -9.5574
-4.6155 -14.1913 -3.4374
-4.5725 -4.4243 -1.0739
-11.1968 -4.9852 -7.1939
-8.6762 -14.3947 -11.1661
-2.0518 -13.8339 -5.0461
-4.7670 -3.8731 -2.5626
-11.3914 -5.5364 -8.6826
-8.4816 -14.9460 -9.6774
-1.8573 -13.2826 -3.5574
-1.4218 -7.7378 -2.3952
-8.0461 -1.6718 -8.5152
-11.8269 -11.0813 -9.8448
-5.2025 -17.1473 -3.7248
-2.8565 -7.5862 -3.0349
-9.4808 -1.8233 -9.1549
-10.3922 -11.2329 -9.2051
-3.7679 -16.9957 -3.0851
-2.4384 -4.7648 -12.9533
-9.0351 -4.6448 -5.8123
-10.8103 -14.0543 0.7133
-4.2136 -14.1743 -6.4277
-1.7212 -6.1643 -0.0358
-8.3456 -3.2453 -6.1558
-11.5275 -12.6548 -12.2042
-4.9031 -15.5738 -6.0842
-12.7622 -5.2067 -0.0364
-6.1655 -4.2028 -7.1773
-0.4865 -13.6123 -12.2036
-7.0832 -14.6163 -5.0627
-12.3783 -5.6831 -1.5094
-5.7816 -3.7264 -8.6503
-0.8704 -13.1359 -10.7306
-7.4671 -15.0927 -3.5897
-1.2536 -2.0166 -1.8523
-7.8780 -7.3929 -7.9723
-11.9950 -16.8024 -10.3877
-5.3707 -11.4262 -4.2677
-0.9219 -2.8988 -0.6036
-7.5463 -6.5107 -6.7236
-12.3267 -15.9202 -11.6363
-5.7024 -12.3083 -5.5163
-3.6883 -6.8398 -6.7056
-10.2851 -2.5697 0.4354
-9.5604 -11.9792 -5.5344
-2.9636 -16.2494 -12.6754
-6.8653 -7.6069 -2.6099
-0.2685 -1.8026 -9.7509
-6.3834 -11.2121 -9.6301
-12.9801 -17.0164 -2.4891
-3.4375 -1.7094 -6.1526
-10.0618 -7.7002 -12.2726
-9.8112 -17.1097 -6.0874
-3.1869 -11.1189 0.0326
-7.4264 -2.1741 -2.7859
-0.8296 -7.2355 -9.9268
-5.8223 -16.6450 -9.4541
-12.4190 -11.5836 -2.3132
-12.1078 -2.7326 -4.1553
-5.5111 -6.6769 -11.2962
-1.1409 -16.0865 -8.0847
-7.7376 -12.1421 -0.9438
-11.3157 -7.8627 -4.8153
-4.7189 -1.5468 -11.9562
-1.9330 -10.9563 -7.4247
-8.5298 -17.2722 -0.2838
-4.4831 -6.1927 -5.1394
-11.1074 -3.2168 -11.2594
-8.7656 -12.6264 -7.1006
-2.1413 -15.6022 -0.9806
-6.1143 -8.2960 -4.1858
-12.7386 -1.1135 -10.3058
-7.1344 -10.5231 -8.0541
-0.5101 -17.7055 -1.9342
-3.6561 -1.7435 -4.2885
-10.2804 -7.6661 -10.4085
-9.5926 -17.0756 -7.9514
-2.9683 -11.1530 -1.8314
-6.4632 -1.4603 -4.2176
-13.0876 -7.9492 -10.3376
-6.7854 -17.3588 -8.0224
-0.1611 -10.8698 -1.9024
-13.0059 -4.2966 -4.6710
-6.4091 -5.1129 -11.8120
-0.2428 -14.5224 -7.5689
-6.8395 -13.7061 -0.4280
-10.8746 -6.1409 -4.2299
-4.2778 -3.2686 -11.3709
-2.3741 -12.6781 -8.0100
-8.9708 -15.5505 -0.8691
-4.7207 -7.4736 -4.2525
-11.3450 -1.9360 -10.3725
-8.5280 -11.3455 -7.9875
-1.9037 -16.8831 -1.8675
-5.1099 -2.3245 -4.0414
-11.7342 -7.0850 -10.1614
-8.1388 -16.4945 -8.1986
-1.5145 -11.7341 -2.0786
-11.8313 -5.2462 -5.1525
-5.2345 -4.1633 -12.2934
-1.4174 -13.5728 -7.0875
-8.0141 -14.6558 0.0534
-4.1941 -4.4180 -1.9815
-10.8184 -4.9915 -8.1015
-9.0546 -14.4010 -10.2585
-2.4302 -13.8276 -4.1385
-2.0661 -7.0847 -2.7406
-8.6905 -2.3248 -8.8606
-11.1825 -11.7344 -9.4994
-4.5582 -16.4942 -3.3794
-2.1838 -5.3890 -0.4245
-8.8081 -4.0205 -6.5445
-11.0649 -13.4301 -11.8155
-4.4406 -14.7985 -5.6955
-13.1263 -5.4991 -0.8964
-6.5296 -3.9105 -8.0373
-0.1224 -13.3200 -11.3436
-6.7191 -14.9086 -4.2027
-1.2964 -2.9386 -1.5079
-7.9207 -6.4709 -7.6278
-11.9523 -15.8805 -10.7321
-5.3279 -12.3481 -4.6121
-3.4054 -5.4210 -4.5212
-10.0298 -3.9885 -10.6412
-9.8432 -13.3980 -7.7188
-3.2189 -14.8306 -1.5988
-5.6353 -5.4488 -5.6039
-12.2597 -3.9607 -11.7239
-7.6133 -13.3702 -6.6361
-0.9890 -14.8584 -0.5161
-5.8106 -9.6708 -3.8760
-12.4350 -18.5578 -9.9960
-7.4380 -9.1483 -8.3640
-0.8137 -0.2612 -2.2440
-7.0604 -7.9884 -5.2298
-0.4636 -1.4212 -12.3707
-6.1883 -10.8307 -7.0102
-12.7850 -17.3979 0.1307
-2.7122 -2.7644 -3.8320
-9.3365 -6.6452 -9.9520
-10.5365 -16.0547 -8.4080
-3.9121 -12.1739 -2.2880
-3.4126 -0.3823 -3.8893
-10.0369 -9.0273 -10.0093
-9.8361 -18.4368 -8.3507
-3.2117 -9.7918 -2.2307
-6.3405 -0.0429 -3.9539
-12.9649 -9.3667 -10.0739
-6.9081 -18.7762 -8.2861
-0.2838 -9.4524 -2.1661
-7.2174 -1.8825 -5.3786
-0.6207 -7.5271 -12.5195
-6.0313 -16.9366 -6.8614
-12.6280 -11.2920 0.2795
-0.4528 -4.7141 -4.4520
-7.0772 -4.6954 -10.5720
-12.7959 -14.1050 -7.7880
-6.1715 -14.1236 -1.6680
-0.6029 -3.9563 -6.8159
-7.1997 -5.4533 0.3250
-12.6458 -14.8628 -5.4241
-6.0490 -13.3658 -12.5650
-11.1586 -6.1426 -2.8097
-4.5619 -3.2670 -9.9506
-2.0901 -12.6765 -9.4303
-8.6868 -15.5521 -2.2894
-9.5079 -5.9416 -4.6635
-2.9111 -3.4679 -11.8045
-3.7408 -12.8775 -7.5765
-10.3375 -15.3511 -0.4355
-3.4656 -5.7992 -7.5368
-10.0624 -3.6104 -0.3959
-9.7831 -13.0199 -4.7032
-3.1863 -15.2087 -11.8441
-2.5185 -7.4535 -6.4361
-9.1428 -1.9561 -12.5561
-10.7302 -11.3656 -5.8039
-4.1059 -16.8630 0.3161
-4.5259 -7.7153 -7.2979
-11.1226 -1.6942 -0.1570
-8.7228 -11.1038 -4.9421
-2.1261 -17.1248 -12.0830
-6.0685 -7.8841 -1.5593
-12.6929 -1.5254 -7.6793
-7.1801 -10.9349 -10.6807
-0.5558 -17.2937 -4.5607
-8.0731 -8.1804 -2.4229
-1.4763 -1.2291 -9.5638
-5.1756 -10.6387 -9.8171
-11.7723 -17.5899 -2.6762
-7.0180 -6.2714 -2.7115
-0.4213 -3.1381 -9.8524
-6.2307 -12.5476 -9.5285
-12.8274 -15.6809 -2.3875
-3.5807 -2.9408 -6.6806
-10.1775 -6.4688 0.4603
-9.6679 -15.8783 -5.5594
-3.0712 -12.3503 -12.7003
-4.3775 -0.8922 -6.6754
-10.9743 -8.5173 0.4655
-8.8711 -17.9268 -5.5646
-2.2744 -10.3018 -12.7055
-2.2163 -1.2275 -6.4480
-8.8406 -8.1820 -12.5680
-11.0324 -17.5915 -5.7920
-4.4080 -10.6370 0.3280
-6.8056 -1.9453 -1.6090
-0.2089 -7.4642 -8.7499
-6.4431 -16.8737 -10.6310
-13.0398 -11.3549 -3.4901
-7.5792 -3.5070 -2.9480
-0.9825 -5.9025 -10.0890
-5.6694 -15.3120 -9.2920
-12.2662 -12.9166 -2.1510
-8.6397 -1.5855 -2.7718
-2.0430 -7.8240 -9.9127
-4.6090 -17.2335 -9.4682
-11.2057 -10.9951 -2.3273
-11.2812 -2.9880 -3.1151
-4.6845 -6.4216 -10.2560
-1.9674 -15.8311 -9.1249
-8.5642 -12.3975 -1.9840
-11.3782 -2.2692 -5.1885
-4.7815 -7.1404 -12.3294
-1.8705 -16.5499 -7.0515
-8.4672 -11.6787 0.0895
-13.0151 -1.8124 -3.7835
-6.4183 -7.5972 -10.9244
-0.2336 -17.0067 -8.4565
-6.8304 -11.2219 -1.3156
-12.6311 -8.0977 -4.6209
-6.0344 -1.3118 -11.7618
-0.6175 -10.7214 -7.6191
-7.2143 -17.5072 -0.4782
-10.5944 -8.7467 -4.1030
-3.9977 -0.6628 -11.2439
-2.6543 -10.0723 -8.1370
-9.2510 -18.1563 -0.9961
-11.0276 -7.9970 -6.1271
-4.4032 -1.4125 -0.0071
-2.2211 -10.8220 -6.1129
-8.8454 -17.4066 -12.2329
```

Energy: -0.4070 Ry/atom
Space group: P2_1/c (14)
E (MP2020): -5.87 eV per atom
Magnetization: 0.000 μB/atom

=====

VASP calculation (PBE) on an optimized crystal structure of Er4Fe34C3.

Structure (POSCAR):
```
Er4Fe34C3
1.0
4.3151 2.4873 4.1382
-4.2891 2.4505 4.1331
-0.0375 -9.8928 8.2816
Er Fe C
4 34 3
Cartesian
0.0444 0.0138 8.1625
-0.0103 -4.9083 12.3048
-0.0371 -0.0224 4.2495
-0.0199 -4.9931 8.3888
0.0000 -0.0142 11.2140
-0.0097 -4.9382 15.3540
0.0073 0.0056 1.1981
-0.0205 -4.9632 5.3396
-0.0209 -2.5230 6.3683
-0.0233 -7.4500 10.4899
-2.1818 1.2316 6.3576
-2.1840 -3.7218 10.5099
2.1929 1.2549 6.3854
2.1592 -3.7021 10.5122
0.0282 2.5144 6.0438
-0.0069 -2.4514 10.2037
2.1891 -1.2403 6.0544
2.1538 -6.1796 10.1837
-2.1856 -1.2636 6.0267
-2.1894 -6.1993 10.1815
-1.8594 -2.4848 8.2779
-1.8787 -7.4306 12.4146
-1.2028 2.8259 8.2711
3.0362 -4.6319 8.2893
-1.2537 -2.7921 4.1435
3.0299 -5.2467 12.4094
1.2101 -2.8346 4.1409
-3.0664 -5.2695 12.4043
1.2610 2.7835 8.2685
-3.0601 -4.6547 8.2842
1.8292 -7.4166 12.4157
1.8485 -2.4708 8.2790
-0.0094 -2.4732 2.0704
-0.0281 -7.4196 6.2112
2.1479 -1.2402 10.3439
-2.1781 -8.6612 10.3497
-2.1592 -6.1924 14.4687
2.1290 -3.7090 6.2250
-0.0280 -7.4243 12.4076
-0.0022 -2.4771 8.2861
2.1482 -1.2296 4.1395
```

Energy: -0.6027 Ry/atom
Space group: P-1 (2)
Magnetization: 1.807 μB/atom

=====

VASP calculation (PBE) on an optimized crystal structure of Er2Fe14C.

Structure (POSCAR):
```
Er2Fe14C
1.0
-6.6484 5.4805 -1.2728
-0.2165 -2.2180 -8.4197
-7.5282 -8.5637 2.4495
Er Fe C
8 56 4
Cartesian
-5.7227 4.3725 -2.3014
-1.1422 -1.1100 -7.3911
-8.1846 -2.1811 -5.0165
-8.8604 -0.6592 -1.7727
-1.7758 0.8439 -2.5073
-5.5327 -4.6421 -5.4702
-6.2086 -3.1202 -2.2265
-5.0891 2.4185 -7.1852
-9.6931 -3.4114 -7.2841
-1.6323 -2.0959 -2.6279
-6.5259 -7.6626 -1.0356
-6.0394 -0.1631 -1.0845
-3.7027 0.3822 -0.3274
-3.9700 -0.3581 -6.7834
-5.7969 -0.1168 -8.5079
-10.1468 -6.0067 -2.6615
-6.1493 2.2503 -4.3619
-4.7001 -1.8898 0.0411
-2.1929 -1.4215 -0.4424
-10.8838 -2.1099 -3.3472
-11.0477 -1.7901 -5.7789
-7.3803 1.8807 -1.9661
-12.7609 -3.2053 -4.6151
-8.2439 -7.5515 -2.8811
-10.4231 -4.9432 -0.4596
-3.5093 -3.1913 -3.8958
-3.3191 -2.9802 -6.4787
-7.8487 -5.4329 -1.2114
-6.5445 0.1316 -6.0316
-8.5963 -5.1845 1.2649
-4.0141 -1.0709 -2.4590
-7.7271 1.2086 -8.2560
-3.3455 -3.5112 -1.4640
-7.8845 -1.3541 -7.8726
-8.2491 0.8871 -4.2045
-10.6905 -5.6834 -6.9156
-5.7191 -2.1411 -7.0157
-9.3475 -3.6421 -2.4318
-12.2002 -3.8798 -6.8006
-3.8723 -5.3909 -2.9851
-6.5087 -3.9472 0.6296
-6.1440 -6.1883 -3.0385
-8.3538 -5.1382 -6.1584
-4.2463 0.7054 -4.5814
-9.2391 0.2673 -6.3674
-8.6740 -3.1601 -0.2273
-9.6897 -6.8644 -4.9223
-7.8673 2.3613 -6.2073
-11.0740 -2.3210 -0.7643
-2.5242 -1.0452 -4.7421
-6.2924 -0.1668 -3.4258
-5.1541 -5.5685 -0.8756
-10.3790 -4.2304 -4.7839
-4.7035 1.5632 -2.3206
-4.5780 -5.2076 1.4896
-7.0128 -7.1819 -5.2769
-6.6660 -6.5098 1.0131
-11.8689 -4.2561 -2.5009
-0.1082 -1.1090 -4.2098
-8.1007 -5.1345 -3.8171
-2.9503 -3.3561 0.9600
-7.0883 -1.5416 0.5884
-3.3242 2.7402 -0.6364
-5.0456 -1.6591 -4.8112
-4.6399 -3.8656 -0.0118
-9.7532 -1.4356 -7.2312
-4.2530 2.6134 -3.9345
-2.6119 0.6491 -5.7580
```

Energy: -0.5980 Ry/atom
Space group: P4_2/mnm (136)
Magnetization: 1.763 μB/atom

=====

VASP calculation (PBE) on an optimized crystal structure of Er2Ga3Fe14C2.

Structure (POSCAR):
```
Er2Ga3Fe14C2
1.0
-1.4279 -0.9885 -6.2330
5.1192 -3.6792 -1.4572
-2.9719 -5.7248 0.8487
Er Ga Fe C
2 3 14 2
Cartesian
0.2653 -3.5653 -2.3725
0.4540 -6.8272 -4.4689
-1.4859 -2.8624 0.4244
2.5596 -1.8396 -0.7286
-0.7140 -0.4942 -3.1165
0.0593 -0.9765 -0.6315
0.6600 -9.4160 -6.2100
1.9634 -3.9203 -4.9004
-2.1060 -4.9583 -3.7375
1.1797 -6.3087 -1.3407
-1.2441 -6.4722 -1.9410
2.8253 -5.4342 -3.1040
-0.4604 -4.0838 -5.5007
0.4848 -1.7746 -4.8378
-2.5295 -4.3703 -1.1805
1.3740 -5.2517 -7.0285
3.2488 -6.0222 -5.6609
-0.6547 -5.1408 0.1870
3.2065 -2.8931 -2.8524
-2.1999 -3.3567 -2.6921
1.0736 -4.7020 -0.3042
```

Energy: -0.5547 Ry/atom
Space group: C2/m (12)
Magnetization: 1.218 μB/atom